# CaGe2

A relaxed CaGe2 crystal (PBE, the Materials Project database).

Unit cell a=4.0496 b=4.0496 c=10.1882 alpha=90.00 beta=90.00 gamma=120.00
With the nearest neighbours (Å) after each atom.
Sites, in units of the cell vectors:
Ge (0.0000, 0.0000, 0.4991)  3 Ge 2.58
Ge (0.3333, 0.6667, 0.6058)  3 Ge 2.58
Ge (0.6667, 0.3333, 0.1058)  3 Ge 2.58
Ge (0.0000, 0.0000, 0.9991)  3 Ge 2.58
Ca (0.3333, 0.6667, 0.2921)  7 Ge 3.01-3.20
Ca (0.6667, 0.3333, 0.7921)  7 Ge 3.01-3.20

## Properties
Calculated volume   24.116 Å³/atom
Symmetry   P6_3mc, No. 186
Formation enthalpy at 0 K   -0.4791 eV/atom